# AlSbI6, relaxed, DFT r²SCAN
data_AlSbI6
_cell_length_a 10.550
_cell_length_b 10.550
_cell_length_c 7.515
_cell_angle_alpha 109.50
_cell_angle_beta 109.50
_cell_angle_gamma 79.31
_space_group_name_H-M_alt 'P 1'
_space_group_IT_number 1
loop_
_space_group_symop_operation_xyz
'x,y,z'
loop_
_atom_site_label
_atom_site_type_symbol
_atom_site_fract_x
_atom_site_fract_y
_atom_site_fract_z
Al1 Al 0.200 0.200 0.359
Al2 Al 0.800 0.800 0.641
Sb1 Sb 0.198 0.802 0.000
Sb2 Sb 0.802 0.198 0.000
I1 I 0.025 0.714 0.553
I2 I 0.145 0.145 0.983
I3 I 0.220 0.561 0.074
I4 I 0.286 0.975 0.447
I5 I 0.369 0.369 0.543
I6 I 0.439 0.780 0.926
I7 I 0.561 0.220 0.074
I8 I 0.631 0.631 0.457
I9 I 0.714 0.025 0.553
I10 I 0.780 0.439 0.926
I11 I 0.855 0.855 0.017
I12 I 0.975 0.286 0.447
# **Total magnetic moment**: 0.00 Bohr magnetons per cell
# **SG**: C2/m, No. 12
# **Calculated formation energy**: -0.5794 eV/atom